Entry 1:
! AgBiO3, optimized geometry, DFT PBE; values from VASP
! - Space-group type: Cmmm
! - Formation enthalpy at 0 K: -1.027 eV per atom
! - Uncorrected energy: -4.93 eV per atom
! - Mass density: 7.84 g/cm3
&SYSTEM
  ibrav = 0, nat = 10, ntyp = 3
/
ATOMIC_SPECIES
O 16.00 O.upf
Ag 107.87 Ag.upf
Bi 208.98 Bi.upf
CELL_PARAMETERS angstrom
0.557 3.658 -5.673
-6.616 -0.937 1.106
-0.102 2.962 1.900
ATOMIC_POSITIONS angstrom
O -4.023 2.842 -4.646
Ag 0.000 0.000 0.000
O -5.923 1.625 -2.851
O -4.103 2.187 -0.367
Ag -3.029 1.361 -2.283
O -0.136 1.096 -1.716
Bi 0.228 3.310 -1.886
O -2.058 3.497 -2.299
Bi -3.359 1.013 1.503
O -2.036 -0.121 0.079

***

Entry 2:
! NiPSe3, optimized geometry, DFT PBE; values from VASP
! - Space-group type: C2/m
! - Formation enthalpy at 0 K: -0.404 eV per atom
! - Uncorrected energy: -4.46 eV per atom
! - Mass density: 4.98 g/cm3
&SYSTEM
  ibrav = 0, nat = 10, ntyp = 3
/
ATOMIC_SPECIES
Ni 58.69 Ni.upf
P 30.97 P.upf
Se 78.96 Se.upf
CELL_PARAMETERS angstrom
5.338 3.080 0.000
-5.338 3.080 0.000
0.000 2.048 6.623
ATOMIC_POSITIONS angstrom
Ni 1.779 3.080 0.000
P 0.000 6.159 1.121
Se -1.913 3.154 5.093
P 0.000 2.049 5.502
Se 0.000 6.000 5.092
Se -1.913 5.054 1.530
Se 0.000 2.208 1.531
Ni -1.779 3.080 0.000
Se 1.913 3.154 5.093
Se 1.913 5.054 1.530

***

Entry 3:
! AlPO4, optimized geometry, DFT PBE; values from VASP
! - Space-group type: R-3
! - Formation enthalpy at 0 K: -3.109 eV per atom
! - Uncorrected energy: -7.48 eV per atom
! - Mass density: 1.45 g/cm3
&SYSTEM
  ibrav = 0, nat = 36, ntyp = 3
/
ATOMIC_SPECIES
O 16.00 O.upf
Al 26.98 Al.upf
P 30.97 P.upf
CELL_PARAMETERS angstrom
3.830 7.953 3.415
-5.427 4.439 -6.357
-6.778 -0.470 6.589
ATOMIC_POSITIONS angstrom
O -0.870 7.261 5.177
Al -3.163 9.238 -2.629
O -6.058 11.797 1.682
O -1.728 1.700 -1.835
Al -5.212 2.684 6.276
Al -6.632 4.535 -3.035
P -7.340 1.951 4.048
O -9.360 6.036 -0.585
P 0.501 7.324 4.492
O -5.246 6.481 7.407
O -5.545 5.892 -3.179
P -4.131 5.421 7.362
Al -9.243 3.517 2.108
O -3.129 5.440 -3.760
P -1.035 9.971 -0.401
O -4.563 4.298 6.410
O -2.830 6.029 6.826
O -7.875 2.989 3.054
O -6.472 0.938 3.279
O -2.317 0.124 1.964
O -6.647 10.221 5.482
O -9.296 9.298 2.416
P -4.244 6.501 -3.715
O -0.500 8.932 0.593
P -8.876 4.598 -0.845
O 0.344 8.087 3.172
O 0.985 5.886 4.232
O -8.719 3.835 0.475
O 0.920 2.623 1.231
O -7.505 4.660 -1.530
O -6.505 2.684 5.104
O -1.870 9.237 -1.457
Al 0.868 8.405 1.539
Al -1.743 7.386 6.682
O -1.903 10.983 0.367
O -3.812 7.623 -2.763

***

Entry 4:
! NaLa2TaTi2O12, optimized geometry, DFT PBE; values from VASP
! - Space-group type: P1
! - Formation enthalpy at 0 K: -2.792 eV per atom
! - Uncorrected energy: -8.14 eV per atom
! - Mass density: 4.93 g/cm3
&SYSTEM
  ibrav = 0, nat = 18, ntyp = 5
/
ATOMIC_SPECIES
Ti 47.87 Ti.upf
La 138.91 La.upf
O 16.00 O.upf
Ta 180.95 Ta.upf
Na 22.99 Na.upf
CELL_PARAMETERS angstrom
-3.887 0.000 0.000
-0.003 -3.888 0.000
1.747 1.539 17.160
ATOMIC_POSITIONS angstrom
Ti -0.014 -3.882 0.019
La -0.161 -0.341 14.871
O -1.691 -1.437 8.012
Ta -0.012 -0.004 4.414
O -2.150 -2.309 15.280
O -0.844 -0.650 8.448
O 0.053 0.047 6.174
Na -0.116 -2.529 10.028
La -1.966 -1.977 2.079
Ti -2.101 -2.275 12.816
O -2.078 -2.281 11.083
O -0.018 0.030 2.008
O -1.970 -3.866 0.121
O -2.112 -0.340 13.341
O -1.965 -0.028 3.877
O -0.040 -1.953 3.882
O -0.170 -2.283 13.309
O -0.047 -1.922 0.125

***

Entry 5:
! Rb3Dy, optimized geometry, DFT PBE; values from VASP
! - Space-group type: P6_3/mmc
! - Formation enthalpy at 0 K: 0.631 eV per atom
! - Uncorrected energy: -1.26 eV per atom
! - Mass density: 2.61 g/cm3
! - Offset from the most stable computed form: 0.0 meV/atom
&SYSTEM
  ibrav = 0, nat = 8, ntyp = 2
/
ATOMIC_SPECIES
Rb 85.47 Rb.upf
Dy 162.50 Dy.upf
CELL_PARAMETERS angstrom
4.541 -7.865 0.000
4.541 7.865 0.000
0.000 0.000 7.467
ATOMIC_POSITIONS angstrom
Rb 4.541 -5.155 5.600
Rb 6.734 1.355 1.867
Rb 2.347 -1.355 5.600
Rb 4.541 5.155 1.867
Dy 4.541 2.622 5.600
Rb 6.734 -1.355 5.600
Dy 4.541 -2.622 1.867
Rb 2.347 1.355 1.867

***

Entry 6:
! CaTm2O4, optimized geometry, DFT PBE; values from VASP
! - Space-group type: Pnma
! - Formation enthalpy at 0 K: -3.818 eV per atom
! - Uncorrected energy: -7.82 eV per atom
! - Mass density: 7.68 g/cm3
! - Offset from the most stable computed form: 24.5 meV/atom
&SYSTEM
  ibrav = 0, nat = 28, ntyp = 3
/
ATOMIC_SPECIES
O 16.00 O.upf
Tm 168.93 Tm.upf
Ca 40.08 Ca.upf
CELL_PARAMETERS angstrom
-1.069 -0.967 3.000
7.058 -6.865 0.304
7.221 7.648 5.038
ATOMIC_POSITIONS angstrom
O 6.880 1.287 3.790
Tm 7.080 -5.715 1.605
O 1.983 -3.088 2.481
O 7.119 4.568 4.933
O 12.894 0.485 5.675
O 4.976 -2.156 2.002
Tm 2.573 1.710 4.237
Tm 10.638 -1.893 4.105
O 1.922 1.780 2.182
O 6.091 -4.752 3.409
O 4.427 2.873 3.427
O 6.330 -1.470 4.552
Tm 5.515 -0.202 2.824
Tm 6.131 5.532 6.737
O 0.317 -0.668 2.667
O 11.228 2.905 5.861
O 11.288 -1.963 6.160
Tm 7.695 0.019 5.518
O 3.537 -0.286 3.938
O 9.673 0.103 4.404
Tm 9.126 3.676 5.360
Ca 5.635 2.533 5.594
O 8.783 -3.056 4.915
Ca 10.626 0.649 6.765
Ca 2.585 -0.832 1.576
Tm 4.085 -3.859 2.982
Ca 7.575 -2.717 2.748
O 8.235 1.973 6.340

***

Entry 7:
! LiPrGe, optimized geometry, DFT PBE; values from VASP
! - Space-group type: P-62m
! - Formation enthalpy at 0 K: -0.673 eV per atom
! - Uncorrected energy: -4.44 eV per atom
! - Mass density: 5.30 g/cm3
&SYSTEM
  ibrav = 0, nat = 9, ntyp = 3
/
ATOMIC_SPECIES
Ge 72.64 Ge.upf
Li 6.94 Li.upf
Pr 140.91 Pr.upf
CELL_PARAMETERS angstrom
0.000 0.000 -4.403
-3.685 -6.383 0.000
-3.685 6.383 0.000
ATOMIC_POSITIONS angstrom
Ge -3.685 -2.128 -2.202
Li -1.717 0.000 -2.202
Pr -4.290 0.000 0.000
Li -2.827 4.896 -2.202
Li -2.827 -4.896 -2.202
Pr -1.540 -2.667 0.000
Pr -1.540 2.667 0.000
Ge 0.000 0.000 0.000
Ge -3.685 2.128 -2.202

***

Entry 8:
! NaTl2Cd, optimized geometry, DFT PBE; values from VASP
! - Space-group type: Fm-3m
! - Formation enthalpy at 0 K: -0.082 eV per atom
! - Uncorrected energy: -1.82 eV per atom
! - Mass density: 8.20 g/cm3
&SYSTEM
  ibrav = 0, nat = 4, ntyp = 3
/
ATOMIC_SPECIES
Cd 112.41 Cd.upf
Tl 204.38 Tl.upf
Na 22.99 Na.upf
CELL_PARAMETERS angstrom
0.000 3.805 3.805
3.805 0.000 3.805
3.805 3.805 0.000
ATOMIC_POSITIONS angstrom
Cd 3.805 3.805 3.805
Tl 5.708 5.708 5.708
Tl 1.903 1.903 1.903
Na 0.000 0.000 0.000